# 1
Li3Al2FeO6 | PBE with a Hubbard U | optimized geometry

Properties
formation energy from the elements: -2642 meV per atom
polymorph energy (0 for the lowest one): 41 meV/atom
calculated density: 3.1 Mg/m³

a = 5.887 Å, b = 10.217 Å, c = 9.971 Å
α = 90.00°, β = 125.57°, γ = 90.00°
Fractional coordinates of all 48 atoms:
Li (0.192, 0.153, 0.376)
Li (0.192, 0.347, 0.876)
Li (0.204, 0.005, 0.861)
Li (0.204, 0.495, 0.361)
Li (0.260, 0.001, 0.614)
Li (0.260, 0.499, 0.114)
Li (0.740, 0.501, 0.886)
Li (0.740, 0.999, 0.386)
Li (0.796, 0.505, 0.639)
Li (0.796, 0.995, 0.139)
Li (0.808, 0.653, 0.124)
Li (0.808, 0.847, 0.624)
Al (0.213, 0.668, 0.879)
Al (0.213, 0.832, 0.379)
Al (0.298, 0.661, 0.626)
Al (0.298, 0.839, 0.126)
Al (0.702, 0.161, 0.874)
Al (0.702, 0.339, 0.374)
Al (0.787, 0.168, 0.621)
Al (0.787, 0.332, 0.121)
Fe (0.289, 0.164, 0.126)
Fe (0.289, 0.336, 0.626)
Fe (0.711, 0.664, 0.374)
Fe (0.711, 0.836, 0.874)
O (0.011, 0.174, 0.874)
O (0.011, 0.326, 0.374)
O (0.061, 0.676, 0.387)
O (0.061, 0.824, 0.887)
O (0.064, 0.520, 0.878)
O (0.064, 0.980, 0.378)
O (0.434, 0.503, 0.628)
O (0.434, 0.997, 0.128)
O (0.465, 0.690, 0.123)
O (0.465, 0.810, 0.623)
O (0.491, 0.177, 0.637)
O (0.491, 0.323, 0.137)
O (0.509, 0.677, 0.863)
O (0.509, 0.823, 0.363)
O (0.535, 0.190, 0.377)
O (0.535, 0.310, 0.877)
O (0.566, 0.003, 0.872)
O (0.566, 0.497, 0.372)
O (0.936, 0.020, 0.622)
O (0.936, 0.480, 0.122)
O (0.939, 0.176, 0.113)
O (0.939, 0.324, 0.613)
O (0.989, 0.674, 0.626)
O (0.989, 0.826, 0.126)

***

# 2
Sr2MgZnWO6 | PBE with a Hubbard U | optimized geometry

Properties
formation energy from the elements: -2203 meV per atom
polymorph energy (0 for the lowest one): 331 meV/atom
calculated density: 4.6 Mg/m³

a = 6.151 Å, b = 6.151 Å, c = 6.397 Å
α = 107.64°, β = 107.64°, γ = 60.20°
Fractional coordinates of all 11 atoms:
Sr (0.000, 0.000, 0.000)
Sr (0.648, 0.648, 0.744)
Mg (0.267, 0.267, 0.701)
Zn (0.895, 0.895, 0.519)
W (0.439, 0.439, 0.200)
O (0.051, 0.619, 0.708)
O (0.091, 0.091, 0.711)
O (0.115, 0.649, 0.255)
O (0.570, 0.570, 0.082)
O (0.619, 0.051, 0.708)
O (0.649, 0.115, 0.255)

***

# 3
FeOF | PBE with a Hubbard U | optimized geometry

Properties
formation energy from the elements: -2040 meV per atom
calculated density: 4.4 Mg/m³

a = 9.461 Å, b = 3.085 Å, c = 14.248 Å
α = 90.00°, β = 90.29°, γ = 90.00°
Fractional coordinates of all 36 atoms:
Fe (0.000, 0.000, 0.000)
Fe (0.001, 0.000, 0.339)
Fe (0.205, 0.500, 0.170)
Fe (0.238, 0.500, 0.490)
Fe (0.244, 0.500, 0.854)
Fe (0.486, 0.000, 0.339)
Fe (0.489, 0.000, 0.005)
Fe (0.505, 0.000, 0.670)
Fe (0.707, 0.500, 0.171)
Fe (0.737, 0.500, 0.822)
Fe (0.742, 0.500, 0.520)
Fe (0.974, 0.000, 0.675)
O (0.077, 0.500, 0.275)
O (0.078, 0.500, 0.934)
O (0.131, 0.000, 0.445)
O (0.134, 0.000, 0.103)
O (0.343, 0.000, 0.908)
O (0.391, 0.500, 0.403)
O (0.580, 0.500, 0.274)
O (0.582, 0.500, 0.605)
O (0.632, 0.000, 0.100)
O (0.637, 0.000, 0.773)
O (0.842, 0.000, 0.570)
O (0.895, 0.500, 0.741)
F (0.090, 0.500, 0.615)
F (0.149, 0.000, 0.773)
F (0.328, 0.000, 0.230)
F (0.330, 0.000, 0.574)
F (0.386, 0.500, 0.738)
F (0.388, 0.500, 0.070)
F (0.589, 0.500, 0.938)
F (0.647, 0.000, 0.442)
F (0.828, 0.000, 0.906)
F (0.830, 0.000, 0.233)
F (0.879, 0.500, 0.400)
F (0.883, 0.500, 0.066)

***

Please write out number 3 again, unchanged.
FeOF | PBE with a Hubbard U | optimized geometry

Properties
formation energy from the elements: -2040 meV per atom
calculated density: 4.4 Mg/m³

a = 9.461 Å, b = 3.085 Å, c = 14.248 Å
α = 90.00°, β = 90.29°, γ = 90.00°
Fractional coordinates of all 36 atoms:
Fe (0.000, 0.000, 0.000)
Fe (0.001, 0.000, 0.339)
Fe (0.205, 0.500, 0.170)
Fe (0.238, 0.500, 0.490)
Fe (0.244, 0.500, 0.854)
Fe (0.486, 0.000, 0.339)
Fe (0.489, 0.000, 0.005)
Fe (0.505, 0.000, 0.670)
Fe (0.707, 0.500, 0.171)
Fe (0.737, 0.500, 0.822)
Fe (0.742, 0.500, 0.520)
Fe (0.974, 0.000, 0.675)
O (0.077, 0.500, 0.275)
O (0.078, 0.500, 0.934)
O (0.131, 0.000, 0.445)
O (0.134, 0.000, 0.103)
O (0.343, 0.000, 0.908)
O (0.391, 0.500, 0.403)
O (0.580, 0.500, 0.274)
O (0.582, 0.500, 0.605)
O (0.632, 0.000, 0.100)
O (0.637, 0.000, 0.773)
O (0.842, 0.000, 0.570)
O (0.895, 0.500, 0.741)
F (0.090, 0.500, 0.615)
F (0.149, 0.000, 0.773)
F (0.328, 0.000, 0.230)
F (0.330, 0.000, 0.574)
F (0.386, 0.500, 0.738)
F (0.388, 0.500, 0.070)
F (0.589, 0.500, 0.938)
F (0.647, 0.000, 0.442)
F (0.828, 0.000, 0.906)
F (0.830, 0.000, 0.233)
F (0.879, 0.500, 0.400)
F (0.883, 0.500, 0.066)

***

- Look up the formation energy from the elements of the first one.
  -2642 meV per atom

***

- What is the formula in the second record?
  Sr2MgZnWO6